1.
A plane-wave DFT calculation with GGA-PBE was carried out for a geometry-optimized Li3Cu structure.

POSCAR file:
```
Li3Cu
1.0
-1.952 1.952 3.962
1.952 -1.952 3.962
1.952 1.952 -3.962
Li Cu
3 1
direct
0.000 0.000 0.000
0.250 0.750 0.500
0.750 0.250 0.500
0.500 0.500 0.000
```

***

2.
A plane-wave DFT calculation with GGA-PBE was carried out for a geometry-optimized Nd3Co8Sn4 structure.

POSCAR file:
```
Nd3Co8Sn4
1.0
9.015 0.000 0.000
-4.508 7.808 0.000
0.000 0.000 7.591
Nd Co Sn
6 16 8
direct
0.055 0.527 0.000
0.473 0.527 0.000
0.473 0.945 0.000
0.527 0.055 0.500
0.527 0.473 0.500
0.945 0.473 0.500
0.000 0.000 0.219
0.000 0.000 0.719
0.095 0.190 0.975
0.095 0.905 0.975
0.156 0.312 0.667
0.156 0.844 0.667
0.190 0.095 0.475
0.312 0.156 0.167
0.333 0.667 0.305
0.667 0.333 0.805
0.688 0.844 0.667
0.810 0.905 0.975
0.844 0.156 0.167
0.844 0.688 0.167
0.905 0.095 0.475
0.905 0.810 0.475
0.170 0.339 0.294
0.170 0.830 0.294
0.333 0.667 0.668
0.339 0.170 0.794
0.661 0.830 0.294
0.667 0.333 0.168
0.830 0.170 0.794
0.830 0.661 0.794
```

Values from the calculation:
M_tot = 7.5 μB/f.u.

***

3.
A plane-wave DFT calculation with GGA-PBE was carried out for a geometry-optimized LiMg14W structure.

POSCAR file:
```
LiMg14W
1.0
9.983 0.000 0.000
0.000 3.183 5.407
0.000 -3.183 5.407
Li Mg W
1 14 1
direct
0.000 0.000 0.000
0.000 0.504 0.999
0.000 0.999 0.504
0.238 0.179 0.665
0.238 0.665 0.179
0.241 0.662 0.662
0.248 0.167 0.167
0.500 0.000 0.000
0.500 0.001 0.503
0.500 0.500 0.500
0.500 0.503 0.001
0.752 0.167 0.167
0.759 0.662 0.662
0.762 0.179 0.665
0.762 0.665 0.179
0.000 0.499 0.499
```

Values from the calculation:
M_tot = 0.0 μB/f.u.

***

4.
A plane-wave DFT calculation with GGA-PBE was carried out for a geometry-optimized Y4Si2S3O7 structure.

POSCAR file:
```
Y4Si2S3O7
1.0
-5.884 5.884 6.867
5.884 -5.884 6.867
5.884 5.884 -6.867
Y Si S O
16 8 12 28
direct
0.047 0.297 0.094
0.047 0.953 0.750
0.173 0.658 0.515
0.297 0.047 0.594
0.297 0.703 0.250
0.342 0.356 0.515
0.342 0.827 0.985
0.356 0.342 0.015
0.644 0.658 0.985
0.658 0.173 0.015
0.658 0.644 0.485
0.703 0.297 0.750
0.703 0.953 0.406
0.827 0.342 0.485
0.953 0.047 0.250
0.953 0.703 0.906
0.096 0.221 0.625
0.096 0.470 0.875
0.221 0.096 0.125
0.470 0.096 0.375
0.530 0.904 0.625
0.779 0.904 0.875
0.904 0.530 0.125
0.904 0.779 0.375
0.000 0.354 0.354
0.000 0.646 0.646
0.125 0.875 0.250
0.354 0.000 0.854
0.354 0.500 0.354
0.375 0.625 0.750
0.500 0.354 0.854
0.500 0.646 0.146
0.625 0.375 0.250
0.646 0.000 0.146
0.646 0.500 0.646
0.875 0.125 0.750
0.082 0.568 0.232
0.082 0.850 0.514
0.149 0.399 0.750
0.150 0.164 0.232
0.150 0.918 0.986
0.164 0.150 0.732
0.164 0.432 0.014
0.174 0.192 0.518
0.174 0.656 0.982
0.192 0.174 0.018
0.344 0.826 0.518
0.399 0.149 0.250
0.432 0.164 0.514
0.432 0.918 0.268
0.568 0.082 0.732
0.568 0.836 0.486
0.601 0.851 0.750
0.656 0.174 0.482
0.808 0.826 0.982
0.826 0.344 0.018
0.826 0.808 0.482
0.836 0.568 0.986
0.836 0.850 0.268
0.850 0.082 0.014
0.850 0.836 0.768
0.851 0.601 0.250
0.918 0.150 0.486
0.918 0.432 0.768
```

Values from the calculation:
M_tot = 0.0 μB/f.u.
energy with MP2020 corrections = -542.9 eV per cell

***

5.
A plane-wave DFT calculation with GGA-PBE was carried out for a geometry-optimized CsNiBr3 structure.

POSCAR file:
```
CsNiBr3
1.0
7.696 0.000 0.000
-3.848 6.665 0.000
0.000 0.000 6.336
Cs Ni Br
2 2 6
direct
0.333 0.667 0.250
0.667 0.333 0.750
0.000 0.000 0.000
0.000 0.000 0.500
0.152 0.304 0.750
0.152 0.848 0.750
0.304 0.152 0.250
0.696 0.848 0.750
0.848 0.152 0.250
0.848 0.696 0.250
```

Values from the calculation:
energy with MP2020 corrections = -36.2 eV per cell

***

6.
A plane-wave DFT calculation with GGA-PBE was carried out for a geometry-optimized Er4Ni2C5 structure.

POSCAR file:
```
Er4Ni2C5
1.0
3.597 0.000 0.000
0.000 11.540 0.000
0.000 0.000 3.679
Er Ni C
4 2 5
direct
0.000 0.000 0.000
0.000 0.297 0.705
0.000 0.703 0.705
0.500 0.500 0.210
0.500 0.116 0.511
0.500 0.884 0.511
0.000 0.500 0.716
0.500 0.168 0.012
0.500 0.271 0.209
0.500 0.729 0.209
0.500 0.832 0.012
```

***

7.
A plane-wave DFT calculation with GGA-PBE was carried out for a geometry-optimized KCaF3 structure.

POSCAR file:
```
KCaF3
1.0
6.225 0.000 0.000
0.000 8.874 0.000
-0.043 0.000 6.272
K Ca F
4 4 12
direct
0.000 0.250 0.030
0.000 0.750 0.970
0.497 0.250 0.525
0.503 0.750 0.475
0.000 0.000 0.500
0.000 0.500 0.500
0.500 0.000 0.000
0.500 0.500 0.000
0.065 0.750 0.538
0.202 0.042 0.797
0.202 0.458 0.797
0.300 0.023 0.299
0.300 0.477 0.299
0.431 0.750 0.997
0.569 0.250 0.003
0.700 0.523 0.701
0.700 0.977 0.701
0.798 0.542 0.203
0.798 0.958 0.203
0.935 0.250 0.462
```

Values from the calculation:
M_tot = 0.0 μB/f.u.
energy with MP2020 corrections = -109.9 eV per cell

***

8.
A plane-wave DFT calculation with GGA-PBE was carried out for a geometry-optimized MgCu2Sn2O8 structure.

POSCAR file:
```
MgCu2Sn2O8
1.0
6.235 0.000 0.000
0.000 8.726 0.000
-0.135 0.000 12.188
Mg Cu Sn O
4 8 8 32
direct
0.101 0.151 0.468
0.101 0.349 0.968
0.899 0.651 0.032
0.899 0.849 0.532
0.246 0.689 0.837
0.246 0.811 0.337
0.372 0.072 0.892
0.372 0.428 0.392
0.628 0.572 0.608
0.628 0.928 0.108
0.754 0.189 0.663
0.754 0.311 0.163
0.095 0.048 0.160
0.095 0.452 0.660
0.432 0.570 0.148
0.432 0.930 0.648
0.568 0.070 0.352
0.568 0.430 0.852
0.905 0.548 0.340
0.905 0.952 0.840
0.033 0.235 0.624
0.033 0.265 0.124
0.084 0.128 0.895
0.084 0.372 0.395
0.196 0.555 0.040
0.196 0.945 0.540
0.200 0.026 0.318
0.200 0.474 0.818
0.280 0.603 0.300
0.280 0.897 0.800
0.349 0.516 0.575
0.349 0.984 0.075
0.417 0.229 0.442
0.417 0.271 0.942
0.475 0.152 0.693
0.475 0.348 0.193
0.525 0.652 0.807
0.525 0.848 0.307
0.583 0.729 0.058
0.583 0.771 0.558
0.651 0.016 0.925
0.651 0.484 0.425
0.720 0.103 0.200
0.720 0.397 0.700
0.800 0.526 0.182
0.800 0.974 0.682
0.804 0.055 0.460
0.804 0.445 0.960
0.916 0.628 0.605
0.916 0.872 0.105
0.967 0.735 0.876
0.967 0.765 0.376
```

Values from the calculation:
M_tot = 0.0 μB/f.u.
energy with MP2020 corrections = -312.5 eV per cell

***

9.
A plane-wave DFT calculation with GGA-PBE was carried out for a geometry-optimized NaTi2In2P3S3O24 structure.

POSCAR file:
```
NaTi2In2P3S3O24
1.0
8.740 0.000 0.000
-4.359 7.581 0.000
-0.094 -0.077 22.761
Na Ti In P S O
3 6 6 9 9 72
direct
0.000 0.000 0.000
0.007 0.023 0.498
0.342 0.675 0.334
0.321 0.668 0.185
0.324 0.680 0.679
0.656 0.342 0.815
0.657 0.327 0.522
0.664 0.346 0.311
0.667 0.354 0.023
0.001 0.007 0.852
0.001 0.016 0.649
0.333 0.676 0.476
0.334 0.685 0.973
0.989 0.003 0.152
0.994 0.019 0.351
0.038 0.388 0.579
0.044 0.680 0.080
0.330 0.968 0.580
0.384 0.069 0.918
0.384 0.341 0.416
0.665 0.062 0.415
0.668 0.628 0.917
0.695 0.711 0.250
0.996 0.310 0.249
0.299 0.010 0.249
0.300 0.317 0.750
0.332 0.387 0.081
0.622 0.673 0.582
0.623 0.973 0.081
0.696 0.010 0.750
0.943 0.340 0.916
0.946 0.628 0.415
0.999 0.708 0.749
0.006 0.202 0.590
0.013 0.836 0.088
0.045 0.826 0.801
0.056 0.246 0.302
0.117 0.499 0.917
0.122 0.641 0.415
0.139 0.511 0.634
0.140 0.655 0.134
0.153 0.711 0.025
0.154 0.461 0.525
0.157 0.689 0.736
0.160 0.500 0.236
0.173 0.995 0.589
0.182 0.207 0.088
0.184 0.242 0.801
0.184 0.967 0.301
0.204 0.061 0.914
0.204 0.170 0.415
0.227 0.047 0.196
0.229 0.198 0.698
0.297 0.857 0.525
0.301 0.462 0.028
0.323 0.492 0.737
0.323 0.853 0.239
0.356 0.873 0.635
0.357 0.498 0.134
0.370 0.510 0.415
0.374 0.891 0.917
0.476 0.162 0.259
0.478 0.338 0.761
0.481 0.181 0.972
0.483 0.334 0.473
0.491 0.164 0.861
0.491 0.353 0.360
0.495 0.882 0.415
0.496 0.630 0.919
0.498 0.378 0.075
0.503 0.149 0.575
0.508 0.687 0.236
0.509 0.654 0.635
0.515 0.885 0.133
0.521 0.855 0.737
0.552 0.864 0.027
0.554 0.713 0.529
0.631 0.511 0.577
0.632 0.146 0.074
0.659 0.162 0.360
0.659 0.520 0.861
0.667 0.526 0.264
0.674 0.165 0.761
0.677 0.169 0.473
0.692 0.537 0.973
0.768 0.835 0.303
0.772 0.968 0.802
0.801 0.827 0.591
0.806 0.005 0.086
0.811 0.777 0.195
0.813 0.055 0.698
0.834 0.048 0.417
0.836 0.810 0.914
0.840 0.322 0.970
0.840 0.338 0.262
0.848 0.531 0.761
0.848 0.541 0.469
0.855 0.353 0.862
0.857 0.529 0.361
0.861 0.386 0.572
0.861 0.506 0.072
0.954 0.781 0.697
0.956 0.177 0.913
0.957 0.197 0.194
0.963 0.805 0.413
```

Values from the calculation:
M_tot = 0.0 μB/f.u.
energy with MP2020 corrections = -769.3 eV per cell

***

10.
A plane-wave DFT calculation with GGA-PBE was carried out for a geometry-optimized Li2Al2P2O9F structure.

POSCAR file:
```
Li2Al2P2O9F
1.0
5.112 0.000 0.000
-0.835 5.145 0.000
-2.167 -2.369 6.280
Li Al P O F
2 2 2 9 1
direct
0.000 0.000 0.000
0.461 0.748 0.606
0.728 0.372 0.304
0.733 0.377 0.801
0.053 0.023 0.562
0.410 0.729 0.044
0.027 0.708 0.458
0.094 0.612 0.891
0.372 0.138 0.714
0.431 0.040 0.151
0.480 0.579 0.203
0.610 0.702 0.915
0.638 0.440 0.545
0.860 0.054 0.698
0.984 0.165 0.397
0.835 0.318 0.063
```

Values from the calculation:
M_tot = 1.0 μB/f.u.
energy with MP2020 corrections = -115.4 eV per cell

***

11.
A plane-wave DFT calculation with GGA-PBE was carried out for a geometry-optimized Rb2Nb2P2S11 structure.

POSCAR file:
```
Rb2Nb2P2S11
1.0
7.135 0.000 0.000
0.000 7.148 0.000
-2.822 0.000 18.672
Rb Nb P S
4 4 4 22
direct
0.000 0.000 0.000
0.024 0.009 0.491
0.474 0.509 0.504
0.512 0.508 0.992
0.556 0.308 0.244
0.561 0.703 0.241
0.945 0.211 0.751
0.957 0.805 0.751
0.044 0.512 0.625
0.462 0.013 0.369
0.567 0.009 0.102
0.944 0.506 0.887
0.030 0.505 0.994
0.139 0.508 0.823
0.189 0.009 0.807
0.191 0.747 0.664
0.193 0.269 0.662
0.310 0.769 0.329
0.313 0.234 0.330
0.314 0.512 0.185
0.369 0.006 0.173
0.488 0.002 0.999
0.516 0.010 0.475
0.654 0.012 0.728
0.699 0.507 0.343
0.704 0.002 0.319
0.728 0.235 0.140
0.739 0.775 0.139
0.780 0.277 0.856
0.780 0.737 0.854
0.797 0.506 0.670
0.816 0.008 0.648
0.859 0.508 0.263
0.988 0.513 0.516
```

Values from the calculation:
M_tot = 0.0 μB/f.u.
energy with MP2020 corrections = -194.2 eV per cell

***

Number 1: E_form 0.01 eV per atom, mass density 2.32 g cm⁻³. Number 2: E_form -0.28 eV per atom, mass density 8.57 g cm⁻³. Number 3: E_form 0.15 eV per atom, mass density 2.57 g cm⁻³. Number 4: E_form -3.25 eV per atom, mass density 4.33 g cm⁻³. Number 5: E_form -1.30 eV per atom, mass density 4.41 g cm⁻³. Number 6: E_form -0.39 eV per atom, mass density 9.20 g cm⁻³. Number 7: E_form -3.72 eV per atom, mass density 2.61 g cm⁻³. Number 8: E_form -1.59 eV per atom, mass density 5.18 g cm⁻³. Number 9: E_form -2.47 eV per atom, mass density 3.04 g cm⁻³. Number 10: E_form -2.93 eV per atom, mass density 2.94 g cm⁻³. Number 11: E_form -1.09 eV per atom, mass density 2.69 g cm⁻³.